# 1
Compound: Mg6ZrB
Source: Materials Project
Functional: PBE
Structure: relaxed

Results
offset from the most stable computed form	0.00	eV per formula unit
E	-2.81	eV per atom

Lattice parameters (Å, degrees): 4.7002 6.3196 11.0160 90.00 90.00 90.00
Closest atoms and distances in Å follow each position.
Atoms (fractional coordinates):
Mg 0.5000 0.2545 0.4082  1 B 2.61
Mg 0.5000 0.7545 0.9082  1 B 2.61
Mg 0.0000 0.2559 0.0777  8 Mg 3.00-3.23, 2 Zr 3.01-3.34, 2 B 3.21
Mg 0.0000 0.7441 0.0777  8 Mg 3.00-3.23, 2 Zr 3.01-3.34, 2 B 3.21
Mg 0.0000 0.5000 0.8305  10 Mg 2.96-3.22, 2 Zr 3.17
Mg 0.0000 0.7559 0.5777  8 Mg 3.00-3.23, 2 Zr 3.01-3.34, 2 B 3.21
Mg 0.5000 0.5000 0.6674  10 Mg 2.96-3.25, 2 B 3.21
Mg 0.5000 0.7455 0.4082  1 B 2.61
Mg 0.5000 0.0000 0.1674  10 Mg 2.96-3.25, 2 B 3.21
B 0.5000 0.0000 0.7182  2 Zr 2.57, 2 Mg 2.61
B 0.5000 0.5000 0.2182  2 Zr 2.57, 2 Mg 2.61
Mg 0.0000 0.0000 0.3305  10 Mg 2.96-3.22, 2 Zr 3.17
Zr 0.0000 0.5000 0.3123  2 B 2.57
Zr 0.0000 0.0000 0.8123  2 B 2.57
Mg 0.5000 0.2455 0.9082  1 B 2.61
Mg 0.0000 0.2441 0.5777  8 Mg 3.00-3.23, 2 Zr 3.01-3.34, 2 B 3.21

# 2
Compound: La2CuS4
Source: Materials Project
Functional: PBE
Structure: relaxed

Results
offset from the most stable computed form	0.00	eV per formula unit
E	-6.00	eV per atom
total energy after the MP2020 corrections	-6.287	eV per atom

Lattice parameters (Å, degrees): 7.5725 7.7612 10.8972 75.49 90.00 90.00
Closest atoms and distances in Å follow each position.
Atoms (fractional coordinates):
Cu 0.8851 0.3221 0.4950  3 S 2.23-2.25
S 0.0549 0.8895 0.9738  1 S 2.11
Cu 0.1149 0.6779 0.5050  3 S 2.23-2.25
La 0.1263 0.4710 0.8253  6 S 2.86-3.03
La 0.2978 0.0596 0.1389  7 S 2.93-3.09
S 0.1045 0.7526 0.2920  1 Cu 2.25
La 0.7978 0.9404 0.3611  7 S 2.93-3.09
S 0.5549 0.1105 0.5262  1 S 2.11
S 0.9451 0.1105 0.0262  1 S 2.11
S 0.4296 0.2074 0.8741  1 Cu 2.25
La 0.8737 0.5290 0.1747  6 S 2.86-3.03
S 0.8955 0.2474 0.7080  1 Cu 2.25
S 0.0704 0.2074 0.3741  1 Cu 2.25
S 0.7120 0.5548 0.4126  1 Cu 2.23
Cu 0.3851 0.6779 0.0050  3 S 2.23-2.25
S 0.2880 0.4452 0.5874  1 Cu 2.23
S 0.9296 0.7926 0.6259  1 Cu 2.25
S 0.5704 0.7926 0.1259  1 Cu 2.25
S 0.7880 0.5548 0.9126  1 Cu 2.23
S 0.3955 0.7526 0.7920  1 Cu 2.25
Cu 0.6149 0.3221 0.9950  3 S 2.23-2.25
S 0.2120 0.4452 0.0874  1 Cu 2.23
La 0.2022 0.0596 0.6389  7 S 2.93-3.09
S 0.6045 0.2474 0.2080  1 Cu 2.25
La 0.7022 0.9404 0.8611  7 S 2.93-3.09
S 0.4451 0.8895 0.4738  1 S 2.11
La 0.3737 0.4710 0.3253  6 S 2.86-3.03
La 0.6263 0.5290 0.6747  6 S 2.86-3.03

# 3
Compound: InCuPt2
Source: Materials Project
Functional: PBE
Structure: relaxed

Results
E	-5.10	eV per atom

Lattice parameters (Å, degrees): 3.8379 4.0847 4.0847 90.00 90.00 90.00
Closest atoms and distances in Å follow each position.
Atoms (fractional coordinates):
In 0.0000 0.5000 0.5000  8 Pt 2.80, 4 Cu 2.89
Pt 0.5000 0.5000 0.0000  4 In 2.80, 4 Cu 2.80, 4 Pt 2.89
Cu 0.0000 0.0000 0.0000  8 Pt 2.80, 4 In 2.89
Pt 0.5000 0.0000 0.5000  4 In 2.80, 4 Cu 2.80, 4 Pt 2.89

# 4
Compound: TmB4
Source: Materials Project
Functional: PBE
Structure: relaxed

Results
E	-6.82	eV per atom

Lattice parameters (Å, degrees): 7.0532 7.0532 3.9840 90.00 90.00 90.00
Closest atoms and distances in Å follow each position.
Atoms (fractional coordinates):
B 0.0866 0.4134 0.5000  3 B 1.70-1.73
B 0.0000 0.0000 0.7973  5 B 1.61-1.74
Tm 0.6836 0.8164 0.0000  16 B 2.70-2.84
B 0.5385 0.3232 0.5000  5 B 1.70-1.81
B 0.6768 0.5385 0.5000  5 B 1.70-1.81
B 0.8232 0.0385 0.5000  5 B 1.70-1.81
B 0.9134 0.5866 0.5000  3 B 1.70-1.73
B 0.9615 0.8232 0.5000  5 B 1.70-1.81
B 0.5000 0.5000 0.2027  5 B 1.61-1.74
B 0.5866 0.0866 0.5000  3 B 1.70-1.73
B 0.1768 0.9615 0.5000  5 B 1.70-1.81
Tm 0.8164 0.3164 0.0000  16 B 2.70-2.84
B 0.4615 0.6768 0.5000  5 B 1.70-1.81
Tm 0.1836 0.6836 0.0000  16 B 2.70-2.84
Tm 0.3164 0.1836 0.0000  16 B 2.70-2.84
B 0.0385 0.1768 0.5000  5 B 1.70-1.81
B 0.5000 0.5000 0.7973  5 B 1.61-1.74
B 0.0000 0.0000 0.2027  5 B 1.61-1.74
B 0.4134 0.9134 0.5000  3 B 1.70-1.73
B 0.3232 0.4615 0.5000  5 B 1.70-1.81

# 5
Compound: Rb3TbF6
Source: Materials Project
Functional: PBE
Structure: relaxed

Results
E	-5.12	eV per atom
total energy after the MP2020 corrections	-5.398	eV per atom

Lattice parameters (Å, degrees): 7.0302 7.0302 7.0302 117.93 117.93 93.62
Closest atoms and distances in Å follow each position.
Atoms (fractional coordinates):
F 0.6978 0.0000 0.6978  1 Tb 2.19
Rb 0.2500 0.7500 0.5000  4 F 2.80
F 0.0000 0.3022 0.3022  1 Tb 2.19
Tb 0.0000 0.0000 0.0000  6 F 2.19-2.23
F 0.3022 0.0000 0.3022  1 Tb 2.19
F 0.7688 0.7688 0.0000  1 Tb 2.23
F 0.0000 0.6978 0.6978  1 Tb 2.19
F 0.2312 0.2312 0.0000  1 Tb 2.23
Rb 0.7500 0.2500 0.5000  4 F 2.80
Rb 0.5000 0.5000 0.0000  2 F 2.59

# 6
Compound: Na3LaAs2O8
Source: Materials Project
Functional: PBE
Structure: relaxed

Results
offset from the most stable computed form	0.00	eV per formula unit
E	-6.12	eV per atom
total energy after the MP2020 corrections	-6.514	eV per atom

Lattice parameters (Å, degrees): 5.6476 14.4750 19.6988 90.00 90.00 90.00
Closest atoms and distances in Å follow each position.
Atoms (fractional coordinates):
O 0.3351 0.5342 0.4969  1 As 1.74
O 0.5886 0.8103 0.8478  1 As 1.71
Na 0.4936 0.6164 0.0522  5 O 2.31-2.54
La 0.4404 0.3635 0.0738  7 O 2.42-2.70
O 0.0932 0.9405 0.5303  1 As 1.71
As 0.0337 0.9755 0.9810  4 O 1.71-1.74
O 0.4670 0.4888 0.6396  1 As 1.72
Na 0.9837 0.9528 0.6474  4 O 2.33-2.60
O 0.9068 0.4405 0.5303  1 As 1.71
O 0.4114 0.3103 0.8478  1 As 1.71
Na 0.0163 0.0472 0.1474  4 O 2.33-2.60
O 0.4759 0.1385 0.7261  1 As 1.72
O 0.0146 0.7402 0.2369  1 As 1.72
O 0.8939 0.8717 0.9975  1 As 1.73
As 0.0158 0.7721 0.1529  4 O 1.72
O 0.7959 0.7163 0.1081  1 As 1.72
O 0.0146 0.7598 0.7369  1 As 1.72
O 0.6016 0.6227 0.8822  1 As 1.73
O 0.2041 0.2837 0.6081  1 As 1.72
O 0.7034 0.0323 0.2653  1 As 1.72
Na 0.0163 0.4528 0.6474  4 O 2.33-2.60
O 0.9068 0.0595 0.0303  1 As 1.71
As 0.9663 0.0245 0.4810  4 O 1.71-1.74
La 0.4404 0.1365 0.5738  7 O 2.42-2.70
As 0.4733 0.5217 0.7237  4 O 1.72
O 0.6649 0.4658 0.9969  1 As 1.74
As 0.5409 0.2735 0.3962  4 O 1.71-1.74
O 0.8939 0.6283 0.4975  1 As 1.73
O 0.9538 0.6117 0.6494  1 As 1.72
O 0.7152 0.2569 0.6179  1 As 1.72
O 0.3351 0.9658 0.9969  1 As 1.74
La 0.5596 0.8635 0.0738  7 O 2.42-2.70
O 0.8400 0.2833 0.3764  1 As 1.74
O 0.4682 0.7487 0.9822  1 As 1.73
O 0.4682 0.7513 0.4822  1 As 1.73
O 0.7959 0.7837 0.6081  1 As 1.72
O 0.0932 0.5595 0.0303  1 As 1.71
O 0.5241 0.8615 0.2261  1 As 1.72
O 0.3984 0.3773 0.3822  1 As 1.73
Na 0.9772 0.2835 0.4942  5 O 2.36-2.58
O 0.7900 0.9914 0.7613  1 As 1.72
Na 0.9864 0.6380 0.3272  5 O 2.32-2.53
Na 0.0228 0.7165 0.9942  5 O 2.36-2.58
As 0.5409 0.2265 0.8962  4 O 1.71-1.74
O 0.1600 0.7833 0.3764  1 As 1.74
Na 0.9772 0.2165 0.9942  5 O 2.36-2.58
Na 0.5423 0.5331 0.3879  4 O 2.40-2.54
Na 0.0136 0.3620 0.8272  5 O 2.32-2.53
As 0.4591 0.7265 0.8962  4 O 1.71-1.74
O 0.7034 0.4677 0.7653  1 As 1.72
As 0.9663 0.4755 0.9810  4 O 1.71-1.74
O 0.1600 0.7167 0.8764  1 As 1.74
O 0.6016 0.8773 0.3822  1 As 1.73
O 0.2100 0.4914 0.7613  1 As 1.72
O 0.5318 0.2513 0.4822  1 As 1.73
As 0.9842 0.2721 0.1529  4 O 1.72
As 0.0158 0.7279 0.6529  4 O 1.72
O 0.1061 0.3717 0.9975  1 As 1.73
As 0.9842 0.2279 0.6529  4 O 1.72
O 0.3984 0.1227 0.8822  1 As 1.73
La 0.9306 0.8880 0.3037  6 O 2.42-2.57
O 0.4759 0.3615 0.2261  1 As 1.72
O 0.0145 0.0039 0.3957  1 As 1.73
Na 0.4577 0.4669 0.8879  4 O 2.40-2.54
O 0.4670 0.0112 0.1396  1 As 1.72
O 0.9854 0.2598 0.7369  1 As 1.72
O 0.0462 0.3883 0.1494  1 As 1.72
O 0.2966 0.5323 0.2653  1 As 1.72
O 0.2848 0.7431 0.1179  1 As 1.72
Na 0.4577 0.0331 0.3879  4 O 2.40-2.54
O 0.0462 0.1117 0.6494  1 As 1.72
Na 0.0136 0.1380 0.3272  5 O 2.32-2.53
Na 0.4936 0.8836 0.5522  5 O 2.31-2.54
Na 0.4700 0.7028 0.2327  3 O 2.32-2.56
O 0.2966 0.9677 0.7653  1 As 1.72
O 0.5241 0.6385 0.7261  1 As 1.72
O 0.6649 0.0342 0.4969  1 As 1.74
As 0.0337 0.5245 0.4810  4 O 1.71-1.74
As 0.5267 0.0217 0.7237  4 O 1.72
As 0.4591 0.7735 0.3962  4 O 1.71-1.74
O 0.8400 0.2167 0.8764  1 As 1.74
Na 0.9837 0.5472 0.1474  4 O 2.33-2.60
Na 0.5423 0.9669 0.8879  4 O 2.40-2.54
La 0.5596 0.6365 0.5738  7 O 2.42-2.70
O 0.1061 0.1283 0.4975  1 As 1.73
O 0.2041 0.2163 0.1081  1 As 1.72
O 0.2100 0.0086 0.2613  1 As 1.72
Na 0.9864 0.8620 0.8272  5 O 2.32-2.53
O 0.7152 0.2431 0.1179  1 As 1.72
O 0.4114 0.1897 0.3478  1 As 1.71
O 0.5886 0.6897 0.3478  1 As 1.71
As 0.4733 0.9783 0.2237  4 O 1.72
Na 0.0228 0.7835 0.4942  5 O 2.36-2.58
O 0.9855 0.9961 0.8957  1 As 1.73
Na 0.5300 0.2028 0.2327  3 O 2.32-2.56
O 0.0145 0.4961 0.8957  1 As 1.73
O 0.7900 0.5086 0.2613  1 As 1.72
Na 0.5300 0.2972 0.7327  3 O 2.32-2.56
O 0.9855 0.5039 0.3957  1 As 1.73
O 0.5330 0.9888 0.6396  1 As 1.72
As 0.5267 0.4783 0.2237  4 O 1.72
O 0.9854 0.2402 0.2369  1 As 1.72
La 0.9306 0.6120 0.8037  6 O 2.42-2.57
O 0.9538 0.8883 0.1494  1 As 1.72
La 0.0694 0.1120 0.8037  6 O 2.42-2.57
Na 0.5064 0.1164 0.0522  5 O 2.31-2.54
O 0.5330 0.5112 0.1396  1 As 1.72
O 0.5318 0.2487 0.9822  1 As 1.73
O 0.2848 0.7569 0.6179  1 As 1.72
Na 0.5064 0.3836 0.5522  5 O 2.31-2.54
Na 0.4700 0.7972 0.7327  3 O 2.32-2.56
La 0.0694 0.3880 0.3037  6 O 2.42-2.57

# 7
Compound: Y2Ti3Si3O12
Source: Materials Project
Functional: PBE
Structure: relaxed

Results
E	-8.27	eV per atom
total energy after the MP2020 corrections	-8.684	eV per atom

Lattice parameters (Å, degrees): 10.6842 10.6842 10.6842 109.47 109.47 109.47
Closest atoms and distances in Å follow each position.
Atoms (fractional coordinates):
Si 0.7500 0.3750 0.6250  4 O 1.66
O 0.5993 0.8939 0.3719  1 Si 1.66
O 0.1281 0.0219 0.2274  1 Si 1.66
Si 0.3750 0.2500 0.6250  4 O 1.66
O 0.3719 0.5993 0.8939  1 Si 1.66
O 0.8939 0.0219 0.2945  1 Si 1.66
O 0.6281 0.4007 0.1061  1 Si 1.66
O 0.2726 0.4781 0.3719  1 Si 1.66
Y 0.5000 0.0000 0.5000  6 O 2.24
O 0.8719 0.3939 0.0993  1 Si 1.66
O 0.2055 0.2274 0.5993  1 Si 1.66
Y 0.0000 0.0000 0.5000  6 O 2.24
Ti 0.7500 0.1250 0.3750  8 O 2.39-2.44
Si 0.2500 0.6250 0.3750  4 O 1.66
O 0.0219 0.2274 0.1281  1 Si 1.66
O 0.0993 0.8719 0.3939  1 Si 1.66
Y 0.0000 0.0000 0.0000  6 O 2.24
O 0.9007 0.2726 0.2945  1 Si 1.66
O 0.7726 0.8719 0.9781  1 Si 1.66
Si 0.8750 0.2500 0.1250  4 O 1.66
Ti 0.8750 0.7500 0.6250  8 O 2.39-2.44
O 0.9781 0.7726 0.8719  1 Si 1.66
Ti 0.6250 0.8750 0.7500  8 O 2.39-2.44
O 0.4781 0.3719 0.2726  1 Si 1.66
Si 0.8750 0.1250 0.7500  4 O 1.66
Si 0.1250 0.7500 0.8750  4 O 1.66
O 0.2726 0.2945 0.9007  1 Si 1.66
O 0.2945 0.9007 0.2726  1 Si 1.66
Ti 0.3750 0.1250 0.2500  8 O 2.39-2.44
O 0.7274 0.5219 0.6281  1 Si 1.66
O 0.8939 0.3719 0.5993  1 Si 1.66
O 0.7945 0.5219 0.3939  1 Si 1.66
O 0.3939 0.0993 0.8719  1 Si 1.66
O 0.1061 0.6281 0.4007  1 Si 1.66
O 0.9007 0.1281 0.6061  1 Si 1.66
O 0.9781 0.7055 0.1061  1 Si 1.66
O 0.7055 0.0993 0.7274  1 Si 1.66
O 0.6061 0.2055 0.4781  1 Si 1.66
O 0.2274 0.5993 0.2055  1 Si 1.66
O 0.7055 0.1061 0.9781  1 Si 1.66
Si 0.7500 0.8750 0.1250  4 O 1.66
Ti 0.3750 0.7500 0.1250  8 O 2.39-2.44
O 0.2274 0.1281 0.0219  1 Si 1.66
Ti 0.1250 0.2500 0.3750  8 O 2.39-2.44
Y 0.5000 0.5000 0.0000  6 O 2.24
Y 0.5000 0.5000 0.5000  6 O 2.24
O 0.8719 0.9781 0.7726  1 Si 1.66
Ti 0.2500 0.3750 0.1250  8 O 2.39-2.44
O 0.2055 0.4781 0.6061  1 Si 1.66
O 0.2945 0.8939 0.0219  1 Si 1.66
O 0.5219 0.6281 0.7274  1 Si 1.66
O 0.4781 0.6061 0.2055  1 Si 1.66
Ti 0.2500 0.8750 0.6250  8 O 2.39-2.44
O 0.5993 0.2055 0.2274  1 Si 1.66
O 0.3719 0.2726 0.4781  1 Si 1.66
Si 0.1250 0.8750 0.2500  4 O 1.66
Ti 0.8750 0.6250 0.2500  8 O 2.39-2.44
O 0.7726 0.4007 0.7945  1 Si 1.66
Y 0.0000 0.5000 0.5000  6 O 2.24
Y 0.5000 0.0000 0.0000  6 O 2.24
Si 0.2500 0.1250 0.8750  4 O 1.66
Ti 0.7500 0.6250 0.8750  8 O 2.39-2.44
Si 0.6250 0.3750 0.2500  4 O 1.66
Si 0.6250 0.7500 0.3750  4 O 1.66
Si 0.3750 0.6250 0.7500  4 O 1.66
Y 0.0000 0.5000 0.0000  6 O 2.24
O 0.6061 0.9007 0.1281  1 Si 1.66
O 0.6281 0.7274 0.5219  1 Si 1.66
Ti 0.1250 0.3750 0.7500  8 O 2.39-2.44
O 0.7274 0.7055 0.0993  1 Si 1.66
O 0.4007 0.1061 0.6281  1 Si 1.66
O 0.3939 0.7945 0.5219  1 Si 1.66
O 0.5219 0.3939 0.7945  1 Si 1.66
O 0.0219 0.2945 0.8939  1 Si 1.66
O 0.1281 0.6061 0.9007  1 Si 1.66
Ti 0.6250 0.2500 0.8750  8 O 2.39-2.44
O 0.7945 0.7726 0.4007  1 Si 1.66
O 0.0993 0.7274 0.7055  1 Si 1.66
O 0.1061 0.9781 0.7055  1 Si 1.66
O 0.4007 0.7945 0.7726  1 Si 1.66

# 8
Compound: Sr2ZnReO6
Source: Materials Project
Functional: PBE
Structure: relaxed

Results
E	-6.82	eV per atom
total energy after the MP2020 corrections	-7.237	eV per atom

Lattice parameters (Å, degrees): 5.6642 5.6720 9.8175 54.68 90.00 90.00
Closest atoms and distances in Å follow each position.
Atoms (fractional coordinates):
Zn 0.0000 0.0000 0.5000  6 O 2.11
O 0.2161 0.2654 0.9709  1 Re 1.95, 1 Zn 2.11
O 0.7839 0.7346 0.0291  1 Re 1.95, 1 Zn 2.11
O 0.5019 0.2063 0.7400  1 Re 1.95, 1 Zn 2.11
O 0.7356 0.3109 0.9745  1 Re 1.94, 1 Zn 2.11
Sr 0.5174 0.2543 0.2492  8 O 2.56-2.85
O 0.7161 0.7346 0.5291  1 Re 1.95, 1 Zn 2.11
O 0.0019 0.7937 0.7600  1 Re 1.95, 1 Zn 2.11
Re 0.5000 0.5000 0.5000  6 O 1.94-1.95
O 0.4981 0.7937 0.2600  1 Re 1.95, 1 Zn 2.11
Re 0.0000 0.5000 0.0000  6 O 1.94-1.95
O 0.2356 0.6891 0.5255  1 Re 1.94, 1 Zn 2.11
Zn 0.5000 0.0000 0.0000  6 O 2.11
Sr 0.0174 0.7457 0.2508  8 O 2.56-2.85
O 0.7644 0.3109 0.4745  1 Re 1.94, 1 Zn 2.11
Sr 0.9826 0.2543 0.7492  8 O 2.56-2.85
O 0.2839 0.2654 0.4709  1 Re 1.95, 1 Zn 2.11
O 0.9981 0.2063 0.2400  1 Re 1.95, 1 Zn 2.11
O 0.2644 0.6891 0.0255  1 Re 1.94, 1 Zn 2.11
Sr 0.4826 0.7457 0.7508  8 O 2.56-2.85

> Number 6 is which compound?

Na3LaAs2O8